Entry 1:
Entry from Materials Project: U5B4Rh15 after structural relaxation (PBE).

## Properties
V   15.406 Å³ per atom
Uncorrected energy   -8.64 eV/atom
Space-group type   P4/mmm
ΔE_f   -0.57 eV/atom
Total magnetic moment   7.6 μB/f.u.

Lattice parameters (Å, degrees): 4.2167 4.2167 20.7953 90.00 90.00 90.00
With the nearest neighbours (Å) after each atom.
Fractional positions:
U 0.0000 0.0000 0.0000  12 Rh 2.98
U 0.0000 0.0000 0.2035  12 Rh 2.96-3.00
U 0.0000 0.0000 0.4077  12 Rh 2.85-3.02
U 0.0000 0.0000 0.5923  12 Rh 2.85-3.02
U 0.0000 0.0000 0.7965  12 Rh 2.96-3.00
B 0.5000 0.5000 0.1032  6 Rh 2.11-2.15
B 0.5000 0.5000 0.3115  6 Rh 2.00-2.22
B 0.5000 0.5000 0.6885  6 Rh 2.00-2.22
B 0.5000 0.5000 0.8968  6 Rh 2.11-2.15
Rh 0.0000 0.5000 0.1011  2 B 2.11
Rh 0.0000 0.5000 0.3036  2 B 2.11
Rh 0.0000 0.5000 0.5000  8 Rh 2.85-2.98, 4 U 2.85
Rh 0.0000 0.5000 0.6964  2 B 2.11
Rh 0.0000 0.5000 0.8989  2 B 2.11
Rh 0.5000 0.0000 0.1011  2 B 2.11
Rh 0.5000 0.0000 0.3036  2 B 2.11
Rh 0.5000 0.0000 0.5000  8 Rh 2.85-2.98, 4 U 2.85
Rh 0.5000 0.0000 0.6964  2 B 2.11
Rh 0.5000 0.0000 0.8989  2 B 2.11
Rh 0.5000 0.5000 0.0000  2 B 2.15
Rh 0.5000 0.5000 0.2048  2 B 2.11-2.22
Rh 0.5000 0.5000 0.4079  1 B 2.00
Rh 0.5000 0.5000 0.5921  1 B 2.00
Rh 0.5000 0.5000 0.7952  2 B 2.11-2.22

Entry 2:
Entry from Materials Project: U2Fe3Si after structural relaxation (PBE).

## Properties
V   14.210 Å³ per atom
Uncorrected energy   -9.29 eV/atom
Space-group type   Cmcm
ΔE_f   -0.37 eV/atom

Lattice parameters (Å, degrees): 5.1510 5.1510 7.4472 90.00 90.00 120.35
With the nearest neighbours (Å) after each atom.
Fractional positions:
U 0.1674 0.8326 0.5660  1 U 2.74, 9 Fe 2.78-2.92, 3 Si 3.01
U 0.1674 0.8326 0.9340  1 U 2.74, 9 Fe 2.78-2.92, 3 Si 3.01
U 0.8326 0.1674 0.0660  1 U 2.74, 9 Fe 2.78-2.92, 3 Si 3.01
U 0.8326 0.1674 0.4340  1 U 2.74, 9 Fe 2.78-2.92, 3 Si 3.01
Fe 0.1656 0.3324 0.7500  2 Si 2.38, 4 Fe 2.55-2.58
Fe 0.3324 0.1656 0.2500  2 Si 2.38, 4 Fe 2.55-2.58
Fe 0.3332 0.6668 0.2500  2 Si 2.39, 4 Fe 2.57-2.58
Fe 0.6668 0.3332 0.7500  2 Si 2.39, 4 Fe 2.57-2.58
Fe 0.6676 0.8344 0.7500  2 Si 2.38, 4 Fe 2.55-2.58
Fe 0.8344 0.6676 0.2500  2 Si 2.38, 4 Fe 2.55-2.58
Si 0.5000 0.5000 0.0000  6 Fe 2.38-2.39
Si 0.5000 0.5000 0.5000  6 Fe 2.38-2.39

Entry 3:
Entry from Materials Project: SrCdGa after structural relaxation (PBE).

## Properties
V   27.245 Å³ per atom
Uncorrected energy   -2.28 eV/atom
Space-group type   C2/m
ΔE_f   -0.40 eV/atom
Total magnetic moment   0.0 μB/f.u.

Lattice parameters (Å, degrees): 11.5381 4.8983 7.9605 90.00 133.39 90.00
With the nearest neighbours (Å) after each atom.
Fractional positions:
Sr 0.0434 0.0000 0.2915  6 Ga 3.36-3.65, 6 Cd 3.40-3.63
Sr 0.4566 0.5000 0.7085  6 Ga 3.36-3.65, 6 Cd 3.40-3.63
Sr 0.5434 0.5000 0.2915  6 Ga 3.36-3.65, 6 Cd 3.40-3.63
Sr 0.9566 0.0000 0.7085  6 Ga 3.36-3.65, 6 Cd 3.40-3.63
Cd 0.1737 0.5000 0.1131  3 Ga 2.85-3.12, 1 Cd 3.07
Cd 0.3263 0.0000 0.8869  3 Ga 2.85-3.12, 1 Cd 3.07
Cd 0.6737 0.0000 0.1131  3 Ga 2.85-3.12, 1 Cd 3.07
Cd 0.8263 0.5000 0.8869  3 Ga 2.85-3.12, 1 Cd 3.07
Ga 0.1520 0.5000 0.7003  1 Ga 2.67, 2 Cd 2.85
Ga 0.3480 0.0000 0.2997  1 Ga 2.67, 2 Cd 2.85
Ga 0.6520 0.0000 0.7003  1 Ga 2.67, 2 Cd 2.85
Ga 0.8480 0.5000 0.2997  1 Ga 2.67, 2 Cd 2.85

Entry 4:
Entry from Materials Project: FeB3Rh6 after structural relaxation (PBE).

## Properties
V   11.633 Å³ per atom
Uncorrected energy   -7.52 eV/atom
Space-group type   Cm
ΔE_f   -0.25 eV/atom
Total magnetic moment   4.2 μB/f.u.

Lattice parameters (Å, degrees): 7.5085 7.5085 4.7608 90.19 90.19 60.09
With the nearest neighbours (Å) after each atom.
Fractional positions:
Fe 0.1792 0.8208 0.0000  2 B 2.20-2.21
Fe 0.8208 0.1792 0.0000  2 B 2.20-2.21
B 0.0860 0.6442 0.2742  5 Rh 2.10-2.23, 1 Fe 2.21
B 0.0869 0.0869 0.2776  4 Rh 2.11-2.22, 2 Fe 2.20
B 0.4586 0.8909 0.7683  6 Rh 2.11-2.23
B 0.4601 0.4601 0.7654  6 Rh 2.09-2.20
B 0.6442 0.0860 0.2742  5 Rh 2.10-2.23, 1 Fe 2.21
B 0.8909 0.4586 0.7683  6 Rh 2.11-2.23
Rh 0.0182 0.3933 0.1753  3 B 2.11-2.23
Rh 0.1420 0.1420 0.6942  3 B 2.11-2.20
Rh 0.1468 0.5206 0.6814  3 B 2.10-2.23
Rh 0.3492 0.7300 0.5048  2 B 2.16
Rh 0.3933 0.0182 0.1753  3 B 2.11-2.23
Rh 0.3990 0.3990 0.1714  3 B 2.09-2.20
Rh 0.5206 0.1468 0.6814  3 B 2.10-2.23
Rh 0.6035 0.6035 0.9964  3 B 2.16-2.17
Rh 0.7276 0.7276 0.5191  2 B 2.13
Rh 0.7300 0.3492 0.5048  2 B 2.16
Rh 0.8222 0.8222 0.0235  2 B 2.12
Rh 0.9387 0.9387 0.5072  3 B 2.21-2.22

Entry 5:
Entry from Materials Project: Ni3Sn2 after structural relaxation (PBE).

## Properties
V   15.261 Å³ per atom
Uncorrected energy   -5.33 eV/atom
Space-group type   Pnma
ΔE_f   -0.26 eV/atom

Lattice parameters (Å, degrees): 7.1270 5.2176 8.2079 90.00 90.00 90.00
With the nearest neighbours (Å) after each atom.
Fractional positions:
Ni 0.0891 0.2500 0.1255  5 Sn 2.50-2.61, 6 Ni 2.65-2.72
Ni 0.2366 0.5046 0.8764  5 Ni 2.56-2.72, 5 Sn 2.61-2.74
Ni 0.2366 0.9954 0.8764  5 Ni 2.56-2.72, 5 Sn 2.61-2.74
Ni 0.2634 0.0046 0.3764  5 Ni 2.56-2.72, 5 Sn 2.61-2.74
Ni 0.2634 0.4954 0.3764  5 Ni 2.56-2.72, 5 Sn 2.61-2.74
Ni 0.4109 0.7500 0.6255  5 Sn 2.50-2.61, 6 Ni 2.65-2.72
Ni 0.5891 0.2500 0.3745  5 Sn 2.50-2.61, 6 Ni 2.65-2.72
Ni 0.7366 0.5046 0.6236  5 Ni 2.56-2.72, 5 Sn 2.61-2.74
Ni 0.7366 0.9954 0.6236  5 Ni 2.56-2.72, 5 Sn 2.61-2.74
Ni 0.7634 0.0046 0.1236  5 Ni 2.56-2.72, 5 Sn 2.61-2.74
Ni 0.7634 0.4954 0.1236  5 Ni 2.56-2.72, 5 Sn 2.61-2.74
Ni 0.9109 0.7500 0.8745  5 Sn 2.50-2.61, 6 Ni 2.65-2.72
Sn 0.0612 0.7500 0.5970  6 Ni 2.50-2.67
Sn 0.0984 0.7500 0.1426  9 Ni 2.57-2.74
Sn 0.4016 0.2500 0.6426  9 Ni 2.57-2.74
Sn 0.4388 0.2500 0.0970  6 Ni 2.50-2.67
Sn 0.5612 0.7500 0.9030  6 Ni 2.50-2.67
Sn 0.5984 0.7500 0.3574  9 Ni 2.57-2.74
Sn 0.9016 0.2500 0.8574  9 Ni 2.57-2.74
Sn 0.9388 0.2500 0.4030  6 Ni 2.50-2.67

Entry 6:
Entry from Materials Project: Cs2Bi4O7 after structural relaxation (PBE).

## Properties
V   22.888 Å³ per atom
Uncorrected energy   -5.31 eV/atom
Space-group type   C2/c
ΔE_f   -1.68 eV/atom

Lattice parameters (Å, degrees): 13.0002 13.0002 16.1473 94.65 94.65 61.18
With the nearest neighbours (Å) after each atom.
Fractional positions:
Cs 0.0208 0.6224 0.2047  5 O 2.94-3.23
Cs 0.0318 0.1216 0.2053  4 O 2.95-3.24
Cs 0.1216 0.0318 0.7053  4 O 2.95-3.24
Cs 0.1348 0.5441 0.7062  5 O 2.95-3.29
Cs 0.3619 0.4669 0.2886  5 O 2.95-3.29
Cs 0.3776 0.9792 0.2953  5 O 2.94-3.23
Cs 0.4559 0.8652 0.7938  5 O 2.95-3.29
Cs 0.4669 0.3619 0.7886  5 O 2.95-3.29
Cs 0.5331 0.6381 0.2114  5 O 2.95-3.29
Cs 0.5441 0.1348 0.2062  5 O 2.95-3.29
Cs 0.6224 0.0208 0.7047  5 O 2.94-3.23
Cs 0.6381 0.5331 0.7114  5 O 2.95-3.29
Cs 0.8652 0.4559 0.2938  5 O 2.95-3.29
Cs 0.8784 0.9682 0.2947  4 O 2.95-3.24
Cs 0.9682 0.8784 0.7947  4 O 2.95-3.24
Cs 0.9792 0.3776 0.7953  5 O 2.94-3.23
Bi 0.0369 0.5992 0.4620  4 O 2.13-2.38
Bi 0.0942 0.1139 0.9580  4 O 2.13-2.36
Bi 0.0941 0.6103 0.9568  4 O 2.13-2.35
Bi 0.1139 0.0942 0.4580  4 O 2.13-2.36
Bi 0.2075 0.2648 0.1283  3 O 2.13-2.18
Bi 0.2078 0.3005 0.3864  3 O 2.12-2.20
Bi 0.2076 0.7590 0.1206  3 O 2.13-2.18
Bi 0.2410 0.7924 0.3794  3 O 2.13-2.18
Bi 0.2648 0.2075 0.6283  3 O 2.13-2.18
Bi 0.2972 0.6977 0.6194  3 O 2.12-2.20
Bi 0.3005 0.2078 0.8864  3 O 2.12-2.20
Bi 0.3023 0.7028 0.8806  3 O 2.12-2.20
Bi 0.3897 0.9059 0.5432  4 O 2.13-2.35
Bi 0.4008 0.9631 0.0380  4 O 2.13-2.38
Bi 0.4015 0.4595 0.0335  4 O 2.13-2.37
Bi 0.4595 0.4015 0.5335  4 O 2.13-2.37
Bi 0.5405 0.5985 0.4665  4 O 2.13-2.37
Bi 0.5985 0.5405 0.9665  4 O 2.13-2.37
Bi 0.5992 0.0369 0.9620  4 O 2.13-2.38
Bi 0.6103 0.0941 0.4568  4 O 2.13-2.35
Bi 0.6977 0.2972 0.1194  3 O 2.12-2.20
Bi 0.6995 0.7922 0.1136  3 O 2.12-2.20
Bi 0.7028 0.3023 0.3806  3 O 2.12-2.20
Bi 0.7352 0.7925 0.3717  3 O 2.13-2.18
Bi 0.7590 0.2076 0.6206  3 O 2.13-2.18
Bi 0.7924 0.2410 0.8794  3 O 2.13-2.18
Bi 0.7922 0.6995 0.6136  3 O 2.12-2.20
Bi 0.7925 0.7352 0.8717  3 O 2.13-2.18
Bi 0.8861 0.9058 0.5420  4 O 2.13-2.36
Bi 0.9059 0.3897 0.0432  4 O 2.13-2.35
Bi 0.9058 0.8861 0.0420  4 O 2.13-2.36
Bi 0.9631 0.4008 0.5380  4 O 2.13-2.38
O 0.0241 0.3470 0.1550  2 Bi 2.16-2.20
O 0.0244 0.8454 0.1517  2 Bi 2.17
O 0.0723 0.2532 0.3811  2 Bi 2.12-2.31
O 0.0852 0.2819 0.9779  2 Bi 2.13-2.35
O 0.0856 0.7782 0.9752  2 Bi 2.13-2.36
O 0.0880 0.2390 0.6121  2 Bi 2.13-2.30
O 0.0998 0.4823 0.3534  2 Bi 2.16-2.17
O 0.1166 0.4168 0.5270  2 Bi 2.13-2.38
O 0.1546 0.9756 0.3483  2 Bi 2.17
O 0.2218 0.9144 0.5248  2 Bi 2.13-2.36
O 0.2312 0.5851 0.1013  2 Bi 2.13-2.32
O 0.2390 0.0880 0.1121  2 Bi 2.13-2.30
O 0.2463 0.2682 0.7586  2 Bi 2.18-2.20
O 0.2504 0.7496 0.7500  2 Bi 2.20
O 0.2532 0.0723 0.8811  2 Bi 2.12-2.31
O 0.2595 0.5651 0.8815  2 Bi 2.12-2.35
O 0.2682 0.2463 0.2586  2 Bi 2.18-2.20
O 0.2715 0.7285 0.2500  2 Bi 2.18
O 0.2819 0.0852 0.4779  2 Bi 2.13-2.35
O 0.3470 0.0241 0.6550  2 Bi 2.16-2.20
O 0.3844 0.5853 0.4726  2 Bi 2.13-2.37
O 0.4015 0.5131 0.6457  2 Bi 2.17
O 0.4147 0.6156 0.0274  2 Bi 2.13-2.37
O 0.4149 0.7688 0.3987  2 Bi 2.13-2.32
O 0.4168 0.1166 0.0270  2 Bi 2.13-2.38
O 0.4349 0.7405 0.6185  2 Bi 2.12-2.35
O 0.4823 0.0998 0.8534  2 Bi 2.16-2.17
O 0.4869 0.5985 0.8543  2 Bi 2.17
O 0.5131 0.4015 0.1457  2 Bi 2.17
O 0.5177 0.9002 0.1466  2 Bi 2.16-2.17
O 0.5651 0.2595 0.3815  2 Bi 2.12-2.35
O 0.5832 0.8834 0.9730  2 Bi 2.13-2.38
O 0.5851 0.2312 0.6013  2 Bi 2.13-2.32
O 0.5853 0.3844 0.9726  2 Bi 2.13-2.37
O 0.5985 0.4869 0.3543  2 Bi 2.17
O 0.6156 0.4147 0.5274  2 Bi 2.13-2.37
O 0.6530 0.9759 0.3450  2 Bi 2.16-2.20
O 0.7181 0.9148 0.5221  2 Bi 2.13-2.35
O 0.7285 0.2715 0.7500  2 Bi 2.18
O 0.7318 0.7537 0.7414  2 Bi 2.18-2.20
O 0.7405 0.4349 0.1185  2 Bi 2.12-2.35
O 0.7468 0.9277 0.1189  2 Bi 2.12-2.31
O 0.7496 0.2504 0.2500  2 Bi 2.20
O 0.7537 0.7318 0.2414  2 Bi 2.18-2.20
O 0.7610 0.9120 0.8879  2 Bi 2.13-2.30
O 0.7688 0.4149 0.8987  2 Bi 2.13-2.32
O 0.7782 0.0856 0.4752  2 Bi 2.13-2.36
O 0.8454 0.0244 0.6517  2 Bi 2.17
O 0.8834 0.5832 0.4730  2 Bi 2.13-2.38
O 0.9002 0.5177 0.6466  2 Bi 2.16-2.17
O 0.9120 0.7610 0.3879  2 Bi 2.13-2.30
O 0.9144 0.2218 0.0248  2 Bi 2.13-2.36
O 0.9148 0.7181 0.0221  2 Bi 2.13-2.35
O 0.9277 0.7468 0.6189  2 Bi 2.12-2.31
O 0.9756 0.1546 0.8483  2 Bi 2.17
O 0.9759 0.6530 0.8450  2 Bi 2.16-2.20

Entry 7:
Entry from Materials Project: HoSn3 after structural relaxation (PBE).

## Properties
V   27.108 Å³ per atom
Uncorrected energy   -4.50 eV/atom
Space-group type   Amm2
ΔE_f   -0.35 eV/atom
Total magnetic moment   0.0 μB/f.u.

Lattice parameters (Å, degrees): 4.4322 4.4232 22.1238 90.00 90.00 90.00
With the nearest neighbours (Å) after each atom.
Fractional positions:
Ho 0.0000 0.0000 0.0000  12 Sn 3.13-3.44
Ho 0.0000 0.5000 0.5000  12 Sn 3.13-3.44
Ho 0.5000 0.0000 0.2688  9 Sn 3.15-3.36
Ho 0.5000 0.5000 0.7688  9 Sn 3.15-3.36
Sn 0.0000 0.0000 0.3830  4 Sn 3.13, 4 Ho 3.36-3.41
Sn 0.0000 0.0000 0.6184  7 Sn 3.01-3.32
Sn 0.0000 0.0000 0.7545  1 Sn 3.01, 4 Ho 3.15
Sn 0.0000 0.5000 0.1184  7 Sn 3.01-3.32
Sn 0.0000 0.5000 0.2545  1 Sn 3.01, 4 Ho 3.15
Sn 0.0000 0.5000 0.8830  4 Sn 3.13, 4 Ho 3.36-3.41
Sn 0.5000 0.0000 0.1191  6 Sn 3.13-3.33, 3 Ho 3.31-3.44
Sn 0.5000 0.0000 0.5064  4 Ho 3.13, 4 Sn 3.32-3.33
Sn 0.5000 0.0000 0.8816  4 Sn 3.13, 4 Ho 3.33-3.43
Sn 0.5000 0.5000 0.0064  4 Ho 3.13, 4 Sn 3.32-3.33
Sn 0.5000 0.5000 0.3816  4 Sn 3.13, 4 Ho 3.33-3.43
Sn 0.5000 0.5000 0.6191  6 Sn 3.13-3.33, 3 Ho 3.31-3.44

Entry 8:
Entry from Materials Project: MoW2Se2S4 after structural relaxation (PBE).

## Properties
V   29.846 Å³ per atom
Uncorrected energy   -7.43 eV/atom
Space-group type   P3m1
ΔE_f   -0.96 eV/atom
Total magnetic moment   0.0 μB/f.u.

Lattice parameters (Å, degrees): 3.2342 3.2342 29.6530 90.00 90.00 120.00
With the nearest neighbours (Å) after each atom.
Fractional positions:
Mo 0.0000 0.0000 0.0000  6 S 2.43
W 0.6667 0.3333 0.2314  6 Se 2.54
W 0.6667 0.3333 0.7687  6 S 2.43
Se 0.0000 0.0000 0.1735  3 W 2.54
Se 0.0000 0.0000 0.2892  3 W 2.54
S 0.0000 0.0000 0.7162  3 W 2.43
S 0.0000 0.0000 0.8212  3 W 2.43
S 0.6667 0.3333 0.0523  3 Mo 2.43
S 0.6667 0.3333 0.9477  3 Mo 2.43

Entry 9:
Entry from Materials Project: Cs2RbEuCl6 after structural relaxation (PBE).

## Properties
V   39.984 Å³ per atom
Uncorrected energy   -4.35 eV/atom
Space-group type   Fm-3m
ΔE_f   -2.31 eV/atom
Total magnetic moment   6.0 μB/f.u.

Lattice parameters (Å, degrees): 8.2693 8.2693 8.2693 60.00 60.00 60.00
With the nearest neighbours (Å) after each atom.
Fractional positions:
Cs 0.2500 0.2500 0.2500  12 Cl 4.14
Cs 0.7500 0.7500 0.7500  12 Cl 4.14
Rb 0.0000 0.0000 0.0000  6 Cl 3.13
Eu 0.5000 0.5000 0.5000  6 Cl 2.71
Cl 0.2679 0.2679 0.7321  1 Eu 2.71
Cl 0.2679 0.7321 0.2679  1 Eu 2.71
Cl 0.2679 0.7321 0.7321  1 Eu 2.71
Cl 0.7321 0.2679 0.2679  1 Eu 2.71
Cl 0.7321 0.2679 0.7321  1 Eu 2.71
Cl 0.7321 0.7321 0.2679  1 Eu 2.71

Entry 10:
Entry from Materials Project: Mg6SiC after structural relaxation (PBE).

## Properties
V   18.370 Å³ per atom
Uncorrected energy   -2.71 eV/atom
ΔE_f   0.33 eV/atom
Total magnetic moment   0.0 μB/f.u.

Lattice parameters (Å, degrees): 3.7285 8.2270 9.5817 90.00 90.00 90.00
With the nearest neighbours (Å) after each atom.
Fractional positions:
Mg 0.5000 0.2576 0.3522  1 C 2.29
Mg 0.5000 0.7424 0.3522  1 C 2.29
Mg 0.0000 0.1746 0.6154  2 C 2.61, 1 Mg 2.87
Mg 0.0000 0.8254 0.6154  2 C 2.61, 1 Mg 2.87
Mg 0.0000 0.0000 0.3182  2 Si 2.69, 4 Mg 2.84
Mg 0.0000 0.0000 0.8969  2 C 2.43
Mg 0.5000 0.7576 0.8522  1 C 2.29
Mg 0.5000 0.2424 0.8522  1 C 2.29
Mg 0.0000 0.6746 0.1154  2 C 2.61, 1 Mg 2.87
Mg 0.0000 0.3254 0.1154  2 C 2.61, 1 Mg 2.87
Mg 0.0000 0.5000 0.8182  2 Si 2.69, 4 Mg 2.84
Mg 0.0000 0.5000 0.3969  2 C 2.43
Si 0.5000 0.0000 0.1160  4 Mg 2.69-2.81
Si 0.5000 0.5000 0.6160  4 Mg 2.69-2.81
C 0.5000 0.0000 0.7337  4 Mg 2.29-2.43
C 0.5000 0.5000 0.2337  4 Mg 2.29-2.43

Entry 11:
Entry from Materials Project: YCuSi after structural relaxation (PBE).

## Properties
V   18.836 Å³ per atom
Uncorrected energy   -5.98 eV/atom
Space-group type   P-6m2
ΔE_f   -0.63 eV/atom
Total magnetic moment   0.0 μB/f.u.

Lattice parameters (Å, degrees): 4.0515 4.0515 3.9751 90.00 90.00 120.00
With the nearest neighbours (Å) after each atom.
Fractional positions:
Y 0.0000 0.0000 0.0000  6 Cu 3.07, 6 Si 3.07
Cu 0.3333 0.6667 0.5000  3 Si 2.34
Si 0.6667 0.3333 0.5000  3 Cu 2.34

Entry 12:
Entry from Materials Project: InPt after structural relaxation (PBE).

## Properties
V   19.435 Å³ per atom
Uncorrected energy   -4.86 eV/atom
Space-group type   C2/m
ΔE_f   -0.45 eV/atom

Lattice parameters (Å, degrees): 7.0623 7.0623 7.7410 121.31 121.31 37.00
With the nearest neighbours (Å) after each atom.
Fractional positions:
In 0.0000 0.0000 0.0000  6 Pt 2.70-2.83
In 0.1279 0.1279 0.7436  7 Pt 2.80-2.99
In 0.3511 0.3511 0.6545  6 Pt 2.72-2.91
In 0.6489 0.6489 0.3455  6 Pt 2.72-2.91
In 0.8721 0.8721 0.2564  7 Pt 2.80-2.99
Pt 0.2411 0.2411 0.2366  6 In 2.70-2.90, 4 Pt 2.90-3.01
Pt 0.3911 0.3911 0.0561  7 In 2.81-2.99, 4 Pt 2.91-3.01
Pt 0.5000 0.5000 0.5000  6 In 2.82-2.83, 4 Pt 2.90-2.91
Pt 0.6089 0.6089 0.9439  7 In 2.81-2.99, 4 Pt 2.91-3.01
Pt 0.7589 0.7589 0.7634  6 In 2.70-2.90, 4 Pt 2.90-3.01